Material: Na3V3H6O7
Method: DFT, PBE with a Hubbard U
State: optimized geometry

Lattice parameters (Å, degrees): 7.0073 7.2367 8.9362 77.21 76.47 65.45
Positions (direct):
H 0.2011 0.6285 0.1970
H 0.8272 0.6536 0.3994
H 0.1547 0.5383 0.4382
H 0.2663 0.6585 0.4801
H 0.7328 0.8948 0.3745
H 0.0383 0.5389 0.1663
O 0.9994 0.0984 0.9694
O 0.6395 0.8834 0.8929
O 0.1568 0.6028 0.5237
O 0.8288 0.0682 0.3652
O 0.6903 0.7700 0.4033
O 0.1525 0.4965 0.2273
O 0.2711 0.7886 0.1642
V 0.3322 0.9179 0.9309
V 0.0050 0.0179 0.1911
V 0.8280 0.9790 0.9261
Na 0.8414 0.8789 0.6105
Na 0.5943 0.7516 0.1815
Na 0.4402 0.3446 0.0485

## Properties
raw total energy: -5.21 eV per atom
E above lowest polymorph: 0 meV/atom
crystal system: triclinic
DFT formation energy: -1.20 eV per atom
symmetry: P1 (1)